# 1
This record from the Materials Project database describes a relaxed structure of Na2MnH8N4. The functional is GGA-PBE.

## Properties
Formation energy from the elements, eV per atom: -0.37
Raw total energy, eV per atom: -5.091
Symmetry: P2_1/c

Cell lengths 6.399, 14.408, 6.960 Å; angles 90.00, 115.77, 90.00 degrees
Element x y z (fractional)
Na (0.216, 0.146, 0.357)
Na (0.216, 0.354, 0.857)
Na (0.249, 0.559, 0.042)
Na (0.249, 0.941, 0.542)
Na (0.751, 0.059, 0.458)
Na (0.751, 0.441, 0.958)
Na (0.784, 0.646, 0.143)
Na (0.784, 0.854, 0.643)
Mn (0.248, 0.117, 0.830)
Mn (0.248, 0.383, 0.330)
Mn (0.752, 0.617, 0.670)
Mn (0.752, 0.883, 0.170)
H (0.001, 0.741, 0.979)
H (0.001, 0.759, 0.479)
H (0.048, 0.505, 0.658)
H (0.048, 0.995, 0.158)
H (0.152, 0.721, 0.847)
H (0.152, 0.779, 0.347)
H (0.186, 0.551, 0.392)
H (0.186, 0.949, 0.892)
H (0.384, 0.667, 0.345)
H (0.384, 0.833, 0.845)
H (0.389, 0.638, 0.743)
H (0.389, 0.862, 0.243)
H (0.401, 0.218, 0.173)
H (0.401, 0.282, 0.673)
H (0.416, 0.528, 0.722)
H (0.416, 0.972, 0.222)
H (0.584, 0.028, 0.778)
H (0.584, 0.472, 0.278)
H (0.599, 0.718, 0.327)
H (0.599, 0.782, 0.827)
H (0.611, 0.138, 0.757)
H (0.611, 0.362, 0.257)
H (0.616, 0.167, 0.155)
H (0.616, 0.333, 0.655)
H (0.814, 0.051, 0.108)
H (0.814, 0.449, 0.608)
H (0.848, 0.221, 0.653)
H (0.848, 0.279, 0.153)
H (0.952, 0.005, 0.842)
H (0.952, 0.495, 0.342)
H (0.999, 0.241, 0.521)
H (0.999, 0.259, 0.021)
N (0.007, 0.208, 0.656)
N (0.007, 0.292, 0.156)
N (0.072, 0.505, 0.282)
N (0.072, 0.995, 0.782)
N (0.446, 0.155, 0.128)
N (0.446, 0.345, 0.628)
N (0.488, 0.087, 0.711)
N (0.488, 0.413, 0.211)
N (0.512, 0.587, 0.789)
N (0.512, 0.913, 0.289)
N (0.554, 0.655, 0.372)
N (0.554, 0.845, 0.872)
N (0.928, 0.005, 0.218)
N (0.928, 0.495, 0.718)
N (0.993, 0.708, 0.844)
N (0.993, 0.792, 0.344)

# 2
This record from the Materials Project database describes a relaxed structure of Ta4O. The functional is GGA-PBE.

## Properties
Formation energy from the elements, eV per atom: -0.71
Raw total energy, eV per atom: -11.053
Symmetry: P4/mmm

Cell lengths 3.257, 3.257, 7.409 Å; angles 90.00, 90.00, 90.00 degrees
Element x y z (fractional)
Ta (0.000, 0.000, 0.000)
Ta (0.000, 0.000, 0.500)
Ta (0.500, 0.500, 0.217)
Ta (0.500, 0.500, 0.783)
O (0.500, 0.500, 0.500)

# 3
This record from the Materials Project database describes a relaxed structure of Pr4C2Br5. The functional is GGA-PBE.

## Properties
Formation energy from the elements, eV per atom: -1.61
Raw total energy, eV per atom: -5.528
Symmetry: Cm

Cell lengths 9.819, 9.819, 8.316 Å; angles 105.15, 105.15, 23.18 degrees
Element x y z (fractional)
Pr (0.000, 0.000, 0.000)
Pr (0.001, 0.001, 0.408)
Pr (0.337, 0.337, 0.093)
Pr (0.664, 0.664, 0.317)
C (0.463, 0.463, 0.178)
C (0.538, 0.538, 0.230)
Br (0.164, 0.164, 0.588)
Br (0.166, 0.166, 0.037)
Br (0.499, 0.499, 0.703)
Br (0.836, 0.836, 0.373)
Br (0.837, 0.837, 0.823)

- Which of these has the highest raw total energy?
  Na2MnH8N4